No. 1
# Ba2ZnSb2F (PBE-GGA, optimized geometry)
# **Calculated formation energy**: -373 kJ/mol of formula units
# **Calculated total energy**: -3.11 eV per atom
data_Ba2ZnSb2F
_cell_length_a 3.714
_cell_length_b 3.714
_cell_length_c 16.886
_cell_angle_alpha 90.00
_cell_angle_beta 90.00
_cell_angle_gamma 90.00
_space_group_name_H-M_alt 'P 4/m m m'
_space_group_IT_number 123
_space_group_name_Hall '-P 4 2'
loop_
_atom_site_label
_atom_site_fract_x
_atom_site_fract_y
_atom_site_fract_z
Ba1 0.000 0.000 0.145
Zn1 0.000 0.000 0.500
Sb1 0.000 0.000 0.350
F1 0.000 0.000 0.000

No. 2
# Ba3SiF12 (PBE-GGA, optimized geometry)
# **Calculated formation energy**: -4793 kJ/mol of formula units
# **Calculated total energy**: -4.89 eV per atom
data_Ba3SiF12
_cell_length_a 8.296
_cell_length_b 16.142
_cell_length_c 4.544
_cell_angle_alpha 90.00
_cell_angle_beta 112.71
_cell_angle_gamma 90.00
_space_group_name_H-M_alt 'C 1 2/m 1'
_space_group_IT_number 12
_space_group_name_Hall '-C 2y'
loop_
_atom_site_label
_atom_site_fract_x
_atom_site_fract_y
_atom_site_fract_z
Ba1 0.000 0.000 0.000
Ba2 0.250 0.250 0.500
Si1 0.000 0.500 0.500
F1 0.082 0.290 0.851
F2 0.134 0.108 0.738
F3 0.150 0.430 0.587

No. 3
# BaSnF4 (PBE-GGA, optimized geometry)
# **Calculated formation energy**: -1922 kJ/mol of formula units
# **Calculated total energy**: -5.28 eV per atom
data_BaSnF4
_cell_length_a 4.3240
_cell_length_b 4.3240
_cell_length_c 20.9318
_cell_angle_alpha 90.00
_cell_angle_beta 90.00
_cell_angle_gamma 120.00
_space_group_name_H-M_alt 'R -3 m'
_space_group_IT_number 166
_space_group_name_Hall '-R 3 2"'
loop_
_atom_site_label
_atom_site_fract_x
_atom_site_fract_y
_atom_site_fract_z
Ba1 0.0000 0.0000 0.0000
Sn1 0.0000 0.0000 0.5000
F1 0.0000 0.0000 0.1300
F2 0.0000 0.0000 0.3799